Arrangement A

First-principles (PBE with a Hubbard U) data for crystalline Na3Mn2P2C2O14 at its relaxed geometry, as listed in the Materials Project.

Summary:
Space group = No. 1
Theoretical density = 2.67 Mg/m³
Crystal system = triclinic

abc: 5.187 6.583 8.924
angles: 91.14 91.45 90.38
Element x y z (fractional)
O 0.417 0.264 0.536
O 0.141 0.744 0.576
O 0.219 0.563 0.326
O 0.855 0.251 0.425
O 0.704 0.742 0.064
Mn 0.218 0.250 0.350
O 0.289 0.253 0.938
O 0.787 0.443 0.673
O 0.046 0.244 0.146
Na 0.241 0.481 0.757
Na 0.754 0.990 0.239
O 0.539 0.750 0.826
O 0.215 0.937 0.332
O 0.778 0.067 0.670
O 0.465 0.245 0.174
O 0.956 0.754 0.861
C 0.268 0.247 0.075
P 0.286 0.750 0.428
Na 0.757 0.507 0.242
O 0.585 0.752 0.463
C 0.731 0.748 0.925
Mn 0.789 0.763 0.657
P 0.712 0.253 0.577


Arrangement B

First-principles (PBE with a Hubbard U) data for crystalline Na3Mn2P2C2O14 at its relaxed geometry, as listed in the Materials Project.

Summary:
Space group = No. 2
Theoretical density = 2.63 Mg/m³
Crystal system = triclinic

abc: 8.352 8.469 8.975
angles: 89.98 91.90 103.63
Element x y z (fractional)
Na 0.382 0.383 0.237
O 0.100 0.357 0.181
O 0.195 0.949 0.574
Mn 0.472 0.733 0.342
O 0.409 0.180 0.468
O 0.648 0.566 0.319
Mn 0.528 0.267 0.658
O 0.900 0.643 0.819
C 0.488 0.242 0.925
O 0.668 0.085 0.673
O 0.393 0.145 0.825
Na 0.893 0.860 0.246
O 0.607 0.855 0.175
Mn 0.018 0.761 0.648
O 0.396 0.649 0.137
P 0.734 0.971 0.574
O 0.531 0.771 0.938
P 0.231 0.489 0.574
O 0.871 0.911 0.665
O 0.129 0.089 0.335
O 0.469 0.229 0.062
Na 0.107 0.140 0.754
O 0.171 0.624 0.659
O 0.604 0.351 0.863
O 0.591 0.820 0.532
O 0.829 0.376 0.341
O 0.085 0.338 0.535
P 0.769 0.511 0.426
Na 0.614 0.125 0.241
O 0.805 0.051 0.426
C 0.005 0.260 0.081
O 0.352 0.434 0.681
Na 0.386 0.875 0.759
O 0.977 0.731 0.054
P 0.266 0.029 0.426
Mn 0.982 0.239 0.352
Na 0.618 0.617 0.763
O 0.915 0.662 0.465
C 0.512 0.758 0.075
O 0.332 0.915 0.327
O 0.694 0.446 0.575
O 0.109 0.849 0.852
O 0.023 0.269 0.946
C 0.995 0.740 0.919
O 0.891 0.151 0.148
O 0.306 0.554 0.425


Which one is most stable, and which one is least stable? arrangement B is the most stable of them, while arrangement A is the least stable.


Arrangement A

First-principles (PBE with a Hubbard U) data for crystalline Fe3OF5 at its relaxed geometry, as listed in the Materials Project.

Summary:
Space group = No. 1
Theoretical density = 4.14 Mg/m³
Crystal system = triclinic

abc: 4.802 5.780 8.049
angles: 87.90 89.29 88.37
Element x y z (fractional)
O 0.793 0.306 0.893
Fe 0.509 0.824 0.661
O 0.805 0.616 0.573
F 0.715 0.128 0.565
F 0.306 0.216 0.094
F 0.201 0.352 0.449
Fe 0.504 0.167 0.335
F 0.684 0.793 0.915
F 0.810 0.972 0.230
Fe 0.994 0.667 0.345
Fe 0.997 0.010 0.993
F 0.210 0.696 0.096
F 0.308 0.865 0.425
F 0.694 0.473 0.221
Fe 0.517 0.490 0.993
F 0.202 0.046 0.754
F 0.290 0.528 0.782
Fe 0.962 0.352 0.675


Arrangement B

First-principles (PBE with a Hubbard U) data for crystalline Fe3OF5 at its relaxed geometry, as listed in the Materials Project.

Summary:
Space group = No. 1
Theoretical density = 4.22 Mg/m³
Crystal system = triclinic

abc: 7.426 5.763 5.770
angles: 71.24 73.24 73.86
Element x y z (fractional)
F 0.638 0.563 0.557
F 0.370 0.438 0.433
Fe 0.162 0.328 0.354
Fe 0.668 0.311 0.322
Fe 0.332 0.668 0.677
F 0.670 0.624 0.013
F 0.020 0.782 0.773
F 0.331 0.369 0.974
Fe 0.512 0.005 0.004
O 0.723 0.088 0.088
Fe 0.842 0.640 0.668
Fe 0.982 0.030 0.985
O 0.992 0.317 0.706
F 0.277 0.919 0.913
F 0.994 0.719 0.306
F 0.677 0.002 0.627
F 0.975 0.230 0.224
F 0.335 0.965 0.375


Arrangement C

First-principles (PBE with a Hubbard U) data for crystalline Fe3OF5 at its relaxed geometry, as listed in the Materials Project.

Summary:
Space group = No. 12
Theoretical density = 4.16 Mg/m³
Crystal system = monoclinic

abc: 5.767 5.767 7.461
angles: 72.92 72.92 74.35
Element x y z (fractional)
F 0.367 0.969 0.338
F 0.692 0.308 0.000
Fe 0.678 0.678 0.844
F 0.894 0.894 0.305
F 0.031 0.633 0.662
Fe 0.000 0.000 0.500
O 0.777 0.777 0.031
F 0.431 0.431 0.370
F 0.569 0.569 0.630
F 0.106 0.106 0.695
F 0.969 0.367 0.338
Fe 0.334 0.334 0.686
Fe 0.000 0.000 0.000
Fe 0.322 0.322 0.156
F 0.308 0.692 0.000
F 0.633 0.031 0.662
Fe 0.666 0.666 0.314
O 0.223 0.223 0.969


Arrangement D

First-principles (PBE with a Hubbard U) data for crystalline Fe3OF5 at its relaxed geometry, as listed in the Materials Project.

Summary:
Space group = No. 31
Theoretical density = 4.16 Mg/m³
Crystal system = orthorhombic

abc: 3.179 4.836 14.451
angles: 90.00 90.00 90.00
Element x y z (fractional)
F 0.500 0.439 0.231
Fe 0.500 0.739 0.334
Fe 0.000 0.261 0.834
O 0.500 0.059 0.104
Fe 0.000 0.218 0.157
F 0.500 0.046 0.430
F 0.000 0.561 0.731
F 0.000 0.954 0.930
Fe 0.000 0.234 0.504
F 0.000 0.542 0.071
Fe 0.500 0.766 0.004
Fe 0.500 0.782 0.657
F 0.500 0.458 0.571
O 0.000 0.941 0.604
F 0.000 0.956 0.267
F 0.500 0.044 0.767
F 0.000 0.539 0.402
F 0.500 0.461 0.902


Which one is most stable, and which one is least stable? arrangement D is the most stable of them, while arrangement C is the least stable.


Arrangement A

First-principles (PBE with a Hubbard U) data for crystalline LiCoPO4 at its relaxed geometry, as listed in the Materials Project.

Summary:
Maximum piezoelectric response = 0.3 C/m²
Theoretical density = 3.08 Mg/m³

abc: 4.829 7.446 4.829
angles: 90.00 90.00 90.00
Element x y z (fractional)
O 0.309 0.131 0.185
P 0.500 0.250 0.000
Li 0.000 0.500 0.000
O 0.691 0.131 0.815
O 0.685 0.369 0.191
Li 0.500 0.000 0.500
Co 0.000 0.000 0.000
O 0.815 0.869 0.309
Co 0.500 0.500 0.500
O 0.185 0.869 0.691
P 0.000 0.750 0.500
O 0.191 0.631 0.315
O 0.315 0.369 0.809
O 0.809 0.631 0.685


Arrangement B

First-principles (PBE with a Hubbard U) data for crystalline LiCoPO4 at its relaxed geometry, as listed in the Materials Project.

Summary:
Space group = No. 4
Theoretical density = 3.32 Mg/m³
Crystal system = monoclinic

abc: 9.629 4.785 6.993
angles: 87.21 90.00 90.00
Element x y z (fractional)
P 0.906 0.718 0.491
P 0.406 0.282 0.509
O 0.110 0.075 0.187
O 0.894 0.043 0.482
Co 0.072 0.282 0.429
O 0.394 0.957 0.518
Co 0.519 0.241 0.947
O 0.644 0.931 0.167
O 0.275 0.415 0.414
O 0.188 0.526 0.003
Co 0.572 0.718 0.571
O 0.920 0.586 0.290
O 0.420 0.414 0.710
O 0.775 0.585 0.586
O 0.540 0.383 0.401
Li 0.816 0.221 0.737
P 0.200 0.202 0.012
O 0.849 0.900 0.934
O 0.349 0.100 0.066
Li 0.226 0.720 0.723
O 0.610 0.925 0.813
P 0.700 0.798 0.988
O 0.144 0.069 0.833
Co 0.019 0.759 0.053
Li 0.726 0.280 0.277
Li 0.316 0.779 0.263
O 0.040 0.617 0.599
O 0.688 0.474 0.997


Which one is most stable, and which one is least stable? arrangement A is the most stable of them, while arrangement B is the least stable.


Arrangement A

First-principles (PBE with a Hubbard U) data for crystalline LiCoPO4 at its relaxed geometry, as listed in the Materials Project.

Summary:
Space group = No. 9
Theoretical density = 3.03 Mg/m³
Crystal system = monoclinic

abc: 10.070 10.070 16.432
angles: 82.25 82.25 58.94
Element x y z (fractional)
O 0.932 0.248 0.680
P 0.537 0.665 0.941
P 0.915 0.102 0.691
Li 0.140 0.313 0.002
Co 0.880 0.510 0.879
O 0.077 0.955 0.704
O 0.027 0.574 0.204
Co 0.769 0.446 0.628
P 0.165 0.482 0.440
O 0.977 0.786 0.865
Li 0.760 0.081 0.253
Co 0.767 0.946 0.630
O 0.974 0.285 0.865
Co 0.270 0.382 0.628
O 0.007 0.634 0.427
O 0.202 0.633 0.958
Li 0.313 0.140 0.502
O 0.509 0.551 0.427
O 0.107 0.799 0.265
Li 0.702 0.811 0.004
O 0.512 0.051 0.426
O 0.574 0.027 0.704
O 0.847 0.093 0.613
P 0.418 0.545 0.689
O 0.596 0.844 0.115
O 0.786 0.977 0.365
O 0.248 0.932 0.180
Li 0.312 0.640 0.503
Li 0.074 0.260 0.752
Co 0.826 0.009 0.879
Co 0.005 0.325 0.378
O 0.799 0.107 0.765
O 0.051 0.512 0.926
Li 0.260 0.074 0.252
O 0.743 0.419 0.515
O 0.301 0.109 0.765
P 0.043 0.417 0.189
Co 0.267 0.885 0.628
O 0.635 0.700 0.457
Li 0.204 0.570 0.252
Co 0.325 0.005 0.878
O 0.309 0.609 0.768
Li 0.570 0.204 0.752
P 0.417 0.043 0.689
O 0.844 0.596 0.615
O 0.608 0.808 0.268
O 0.442 0.883 0.673
O 0.634 0.007 0.927
O 0.989 0.239 0.017
Co 0.946 0.767 0.130
O 0.161 0.344 0.113
O 0.741 0.922 0.517
O 0.147 0.839 0.450
P 0.665 0.537 0.441
O 0.808 0.608 0.768
O 0.442 0.385 0.673
Li 0.577 0.701 0.753
O 0.385 0.442 0.173
O 0.109 0.301 0.265
Li 0.199 0.813 0.003
O 0.485 0.241 0.016
O 0.280 0.470 0.363
O 0.239 0.989 0.517
O 0.008 0.131 0.426
O 0.883 0.442 0.173
O 0.285 0.974 0.365
Li 0.701 0.577 0.253
P 0.102 0.915 0.191
O 0.241 0.485 0.516
Co 0.446 0.769 0.128
Li 0.813 0.199 0.503
O 0.609 0.309 0.268
O 0.419 0.743 0.015
O 0.139 0.341 0.451
O 0.747 0.937 0.179
O 0.577 0.528 0.702
O 0.633 0.202 0.458
Co 0.009 0.826 0.379
O 0.131 0.008 0.926
P 0.602 0.918 0.191
O 0.528 0.577 0.202
O 0.937 0.747 0.679
O 0.663 0.340 0.115
O 0.700 0.635 0.957
O 0.780 0.475 0.363
O 0.344 0.161 0.613
Co 0.885 0.267 0.128
O 0.551 0.509 0.927
O 0.922 0.741 0.017
P 0.918 0.602 0.691
O 0.341 0.139 0.951
Co 0.505 0.381 0.379
Co 0.510 0.880 0.379
O 0.093 0.847 0.113
Li 0.811 0.702 0.504
P 0.983 0.168 0.940
O 0.475 0.780 0.863
Li 0.640 0.312 0.003
Co 0.381 0.505 0.879
O 0.955 0.077 0.204
O 0.453 0.079 0.203
O 0.839 0.147 0.950
O 0.079 0.453 0.703
O 0.340 0.663 0.615
P 0.482 0.165 0.940
Li 0.081 0.760 0.753
O 0.470 0.280 0.863
P 0.168 0.983 0.440
P 0.545 0.418 0.189
P 0.039 0.667 0.942
Co 0.382 0.270 0.128
P 0.667 0.039 0.442


Arrangement B

First-principles (PBE with a Hubbard U) data for crystalline LiCoPO4 at its relaxed geometry, as listed in the Materials Project.

Summary:
Space group = No. 14
Theoretical density = 3.60 Mg/m³
Crystal system = monoclinic

abc: 5.139 9.555 6.077
angles: 90.00 90.00 83.89
Element x y z (fractional)
Co 0.704 0.842 0.888
O 0.000 0.779 0.139
O 0.500 0.721 0.639
O 0.781 0.025 0.666
Co 0.296 0.158 0.112
Li 0.659 0.428 0.861
O 0.000 0.221 0.861
O 0.994 0.255 0.335
O 0.494 0.755 0.165
Li 0.341 0.572 0.139
O 0.718 0.053 0.066
O 0.500 0.279 0.361
O 0.281 0.525 0.834
O 0.006 0.745 0.665
P 0.257 0.637 0.649
O 0.506 0.245 0.835
O 0.218 0.553 0.434
Co 0.796 0.658 0.388
Li 0.159 0.928 0.639
O 0.219 0.975 0.335
Li 0.841 0.072 0.361
O 0.282 0.947 0.934
P 0.243 0.863 0.149
P 0.757 0.137 0.851
P 0.743 0.363 0.351
O 0.719 0.475 0.165
O 0.782 0.447 0.566
Co 0.204 0.342 0.612


Which one is most stable, and which one is least stable? arrangement A is the most stable of them, while arrangement B is the least stable.